# 1
Here is a relaxed Nd14Zn43Sn3 crystal from the Materials Project. Energies are from PBE. Values from VASP.

Geometry as Quantum ESPRESSO input:
```
&SYSTEM
  ibrav = 0, nat = 60, ntyp = 3
/
ATOMIC_SPECIES
Nd 144.24 Nd.upf
Zn 65.41 Zn.upf
Sn 118.71 Sn.upf
ATOMIC_POSITIONS crystal
Nd 0.500 0.332 0.319
Nd 0.500 0.670 0.681
Nd 0.500 0.830 0.182
Nd 0.500 0.169 0.818
Nd 0.500 0.086 0.246
Nd 0.500 0.915 0.754
Nd 0.500 0.585 0.255
Nd 0.500 0.415 0.746
Nd 0.000 0.338 0.044
Nd 0.000 0.662 0.956
Nd 0.000 0.837 0.456
Nd 0.000 0.163 0.544
Nd 0.500 0.500 0.499
Nd 0.500 0.000 0.999
Zn 0.000 0.195 0.358
Zn 0.000 0.805 0.641
Zn 0.000 0.695 0.142
Zn 0.000 0.305 0.858
Zn 0.000 0.145 0.098
Zn 0.000 0.854 0.902
Zn 0.000 0.638 0.400
Zn 0.000 0.354 0.598
Zn 0.000 0.424 0.216
Zn 0.000 0.578 0.789
Zn 0.000 0.921 0.289
Zn 0.000 0.078 0.711
Zn 0.000 0.244 0.219
Zn 0.000 0.756 0.781
Zn 0.000 0.743 0.281
Zn 0.000 0.257 0.719
Zn 0.000 0.347 0.447
Zn 0.000 0.658 0.550
Zn 0.000 0.842 0.050
Zn 0.000 0.158 0.949
Zn 0.500 0.427 0.141
Zn 0.500 0.573 0.859
Zn 0.500 0.927 0.360
Zn 0.500 0.073 0.641
Zn 0.500 0.252 0.147
Zn 0.500 0.749 0.853
Zn 0.500 0.752 0.353
Zn 0.500 0.248 0.647
Zn 0.000 0.034 0.402
Zn 0.000 0.966 0.598
Zn 0.000 0.533 0.099
Zn 0.000 0.466 0.902
Zn 0.500 0.149 0.419
Zn 0.500 0.852 0.581
Zn 0.500 0.649 0.081
Zn 0.500 0.352 0.920
Zn 0.500 0.500 0.000
Zn 0.500 0.000 0.500
Zn 0.500 0.201 0.007
Zn 0.500 0.799 0.993
Zn 0.500 0.701 0.493
Zn 0.500 0.300 0.506
Zn 0.000 0.480 0.358
Sn 0.000 0.518 0.642
Sn 0.000 0.982 0.143
Sn 0.000 0.018 0.858
CELL_PARAMETERS angstrom
4.472 0.000 0.000
0.000 15.487 0.000
0.000 0.035 17.323
```


# 2
Here is a relaxed Nd2Zn5Sn crystal from the Materials Project. Energies are from PBE. Values from VASP.

Geometry as Quantum ESPRESSO input:
```
&SYSTEM
  ibrav = 0, nat = 16, ntyp = 3
/
ATOMIC_SPECIES
Nd 144.24 Nd.upf
Zn 65.41 Zn.upf
Sn 118.71 Sn.upf
ATOMIC_POSITIONS crystal
Nd 0.205 0.795 0.250
Nd 0.795 0.205 0.750
Nd 0.000 0.000 0.500
Nd 0.000 0.000 0.000
Zn 0.814 0.186 0.392
Zn 0.186 0.814 0.608
Zn 0.814 0.186 0.108
Zn 0.186 0.814 0.892
Zn 0.656 0.344 0.484
Zn 0.344 0.656 0.516
Zn 0.656 0.344 0.016
Zn 0.344 0.656 0.984
Zn 0.395 0.605 0.250
Zn 0.605 0.395 0.750
Sn 0.554 0.446 0.250
Sn 0.446 0.554 0.750
CELL_PARAMETERS angstrom
2.246 -8.280 0.000
2.246 8.280 0.000
0.000 0.000 9.082
```


# 3
Here is a relaxed Sr3Nd crystal from the Materials Project. Energies are from PBE. Values from VASP.

Geometry as Quantum ESPRESSO input:
```
&SYSTEM
  ibrav = 0, nat = 8, ntyp = 2
/
ATOMIC_SPECIES
Sr 87.62 Sr.upf
Nd 144.24 Nd.upf
ATOMIC_POSITIONS crystal
Sr 0.828 0.172 0.750
Sr 0.344 0.172 0.750
Sr 0.828 0.656 0.750
Sr 0.172 0.828 0.250
Sr 0.656 0.828 0.250
Sr 0.172 0.344 0.250
Nd 0.667 0.333 0.250
Nd 0.333 0.667 0.750
CELL_PARAMETERS angstrom
-1.020 2.328 7.787
-4.357 3.571 -5.947
-4.722 -4.534 0.737
```


E: -2.60, -2.94, -2.29 (eV per atom)